The following is a PBE-GGA calculation of a relaxed structure of Tm2CuGe2O8, from the Materials Project database.

Values from the calculation:
- Total moment: 0.0769 μB per atom
- Energy relative to the elements: -2.723 eV/atom

a = 9.519 Å, b = 14.922 Å, c = 5.122 Å
α = 90.00°, β = 121.59°, γ = 90.00°
Space group Cm (No. 8)
Inequivalent atoms, fractional coordinates:
1 Tm 0.000 0.120 0.000 [4 per cell]
2 Tm 0.497 0.121 0.508 [4 per cell]
3 Cu 0.287 0.207 0.808 [4 per cell]
4 Ge 0.243 0.289 0.270 [4 per cell]
5 Ge 0.254 0.500 0.206 [2 per cell]
6 Ge 0.258 0.000 0.814 [2 per cell]
7 O 0.058 0.266 0.263 [4 per cell]
8 O 0.082 0.000 0.852 [2 per cell]
9 O 0.083 0.500 0.825 [2 per cell]
10 O 0.245 0.170 0.118 [4 per cell]
11 O 0.251 0.331 0.942 [4 per cell]
12 O 0.256 0.408 0.435 [4 per cell]
13 O 0.264 0.094 0.602 [4 per cell]
14 O 0.420 0.259 0.639 [4 per cell]
15 O 0.426 0.000 0.204 [2 per cell]
16 O 0.431 0.500 0.173 [2 per cell]